No. 1
# LiSi2BO6

A geometry-optimized LiSi2BO6 structure (GGA-PBE, the Materials Project database).

a = 5.0804 Å, b = 13.2551 Å, c = 13.4796 Å
α = 90.00°, β = 90.11°, γ = 90.00°
Last column: nearest neighbours and their distance in Å.
Fractional positions:
Li  0.0898  0.0000  0.0275  4 O 1.99-2.01
Li  0.1594  0.7187  0.2271  4 O 1.99-2.01
Li  0.3507  0.2133  0.2901  4 O 1.98-2.02
Li  0.3971  0.4874  0.4620  4 O 1.98-2.00
Li  0.6029  0.9874  0.5380  4 O 1.98-2.00
Li  0.6493  0.7133  0.7099  4 O 1.98-2.02
Li  0.8406  0.2187  0.7729  4 O 1.99-2.01
Li  0.9102  0.5000  0.9725  4 O 1.99-2.01
Si  0.0010  0.4253  0.2693  4 O 1.63-1.64
Si  0.0617  0.5150  0.6672  4 O 1.62-1.64
Si  0.1737  0.2851  0.9763  4 O 1.62-1.64
Si  0.2412  0.7803  0.5189  4 O 1.63-1.64
Si  0.2663  0.1921  0.5821  4 O 1.63
Si  0.3173  0.6958  0.9173  4 O 1.62-1.64
Si  0.4277  0.9271  0.2277  4 O 1.62-1.64
Si  0.4952  0.5156  0.1677  4 O 1.63
Si  0.5048  0.0156  0.8323  4 O 1.63
Si  0.5723  0.4271  0.7723  4 O 1.62-1.64
Si  0.6827  0.1958  0.0827  4 O 1.62-1.64
Si  0.7337  0.6921  0.4179  4 O 1.63
Si  0.7588  0.2803  0.4811  4 O 1.63-1.64
Si  0.8263  0.7851  0.0237  4 O 1.62-1.64
Si  0.9383  0.0150  0.3328  4 O 1.62-1.64
Si  0.9990  0.9253  0.7307  4 O 1.63-1.64
B  0.1024  0.9892  0.5370  4 O 1.47-1.49
B  0.1493  0.7181  0.7138  4 O 1.47-1.49
B  0.3394  0.2210  0.7879  4 O 1.47-1.49
B  0.4110  0.4899  0.9620  4 O 1.48-1.49
B  0.5890  0.9899  0.0380  4 O 1.48-1.49
B  0.6606  0.7210  0.2121  4 O 1.47-1.49
B  0.8507  0.2181  0.2862  4 O 1.47-1.49
B  0.8976  0.4892  0.4630  4 O 1.47-1.49
O  0.0239  0.1284  0.2966  1 B 1.49, 1 Si 1.64
O  0.0382  0.3029  0.2753  1 B 1.48, 1 Si 1.64
O  0.0621  0.2529  0.5100  2 Si 1.63
O  0.0765  0.4764  0.3766  1 B 1.49, 1 Si 1.64
O  0.0801  0.5041  0.5467  1 B 1.47, 1 Si 1.63
O  0.1063  0.7734  0.9663  2 Si 1.63
O  0.1426  0.2312  0.8675  1 B 1.47, 1 Si 1.64
O  0.1462  0.9353  0.2851  2 Si 1.63
O  0.1762  0.2092  0.6970  1 B 1.49, 1 Si 1.63
O  0.2008  0.4700  0.1860  2 Si 1.63
O  0.2200  0.4061  0.9654  1 B 1.48, 1 Si 1.63
O  0.2393  0.5805  0.9500  1 B 1.49, 1 Si 1.64
O  0.2816  0.9023  0.5237  1 B 1.48, 1 Si 1.63
O  0.2872  0.0739  0.5501  1 B 1.47, 1 Si 1.63
O  0.2993  0.9539  0.7617  2 Si 1.63
O  0.3235  0.7296  0.6255  1 B 1.49, 1 Si 1.64
O  0.3351  0.7094  0.7971  1 B 1.47, 1 Si 1.63
O  0.3551  0.4868  0.7063  2 Si 1.62
O  0.3924  0.2260  0.0420  2 Si 1.62
O  0.3944  0.9802  0.1188  1 B 1.48, 1 Si 1.64
O  0.4228  0.9979  0.9479  1 B 1.48, 1 Si 1.63
O  0.4372  0.7369  0.4334  2 Si 1.63
O  0.4775  0.8069  0.2172  1 B 1.47, 1 Si 1.62
O  0.4793  0.6342  0.1990  1 B 1.48, 1 Si 1.63
O  0.5207  0.1342  0.8010  1 B 1.48, 1 Si 1.63
O  0.5225  0.3069  0.7828  1 B 1.47, 1 Si 1.62
O  0.5628  0.2369  0.5666  2 Si 1.63
O  0.5772  0.4979  0.0521  1 B 1.48, 1 Si 1.63
O  0.6056  0.4802  0.8812  1 B 1.48, 1 Si 1.64
O  0.6076  0.7260  0.9580  2 Si 1.62
O  0.6449  0.9868  0.2937  2 Si 1.62
O  0.6649  0.2094  0.2029  1 B 1.47, 1 Si 1.63
O  0.6765  0.2296  0.3745  1 B 1.49, 1 Si 1.64
O  0.7007  0.4539  0.2383  2 Si 1.63
O  0.7128  0.5739  0.4499  1 B 1.47, 1 Si 1.63
O  0.7184  0.4023  0.4763  1 B 1.48, 1 Si 1.63
O  0.7607  0.0805  0.0500  1 B 1.49, 1 Si 1.64
O  0.7800  0.9061  0.0346  1 B 1.48, 1 Si 1.63
O  0.7992  0.9700  0.8140  2 Si 1.63
O  0.8238  0.7092  0.3030  1 B 1.49, 1 Si 1.63
O  0.8538  0.4353  0.7149  2 Si 1.63
O  0.8574  0.7312  0.1325  1 B 1.47, 1 Si 1.64
O  0.8937  0.2734  0.0337  2 Si 1.63
O  0.9199  0.0041  0.4533  1 B 1.47, 1 Si 1.63
O  0.9235  0.9764  0.6234  1 B 1.49, 1 Si 1.64
O  0.9379  0.7529  0.4900  2 Si 1.63
O  0.9618  0.8029  0.7247  1 B 1.48, 1 Si 1.64
O  0.9761  0.6284  0.7034  1 B 1.49, 1 Si 1.64

Total moment: 0.004 μB/cell
ΔE_f: -3.06 eV per atom
Space-group type: No. 4

***

No. 2
# Li3SiSnBO7

A geometry-optimized Li3SiSnBO7 structure (GGA-PBE, the Materials Project database).

a = 5.1388 Å, b = 6.5749 Å, c = 8.5448 Å
α = 90.00°, β = 95.44°, γ = 90.00°
Last column: nearest neighbours and their distance in Å.
Fractional positions:
Li  0.2474  0.0083  0.2369  1 O 1.95
Li  0.2474  0.4917  0.2369  1 O 1.95
Li  0.2494  0.7500  0.9069  2 O 1.99-2.00
Li  0.7506  0.2500  0.0931  2 O 1.99-2.00
Li  0.7526  0.5083  0.7631  1 O 1.95
Li  0.7526  0.9917  0.7631  1 O 1.95
Si  0.2313  0.7500  0.5802  4 O 1.64-1.66
Si  0.7687  0.2500  0.4198  4 O 1.64-1.66
Sn  0.2906  0.2500  0.6727  6 O 2.05-2.21
Sn  0.7094  0.7500  0.3273  6 O 2.05-2.21
B  0.2113  0.2500  0.9651  3 O 1.35-1.43
B  0.7887  0.7500  0.0349  3 O 1.35-1.43
O  0.0144  0.2500  0.8357  1 B 1.43
O  0.0915  0.2500  0.4534  1 Si 1.66
O  0.1417  0.2500  0.1140  1 B 1.35
O  0.3328  0.5603  0.6952  1 Si 1.64
O  0.3328  0.9397  0.6952  1 Si 1.64
O  0.3445  0.7500  0.4072  1 Si 1.64
O  0.4660  0.2500  0.9186  1 B 1.40
O  0.5340  0.7500  0.0814  1 B 1.40
O  0.6555  0.2500  0.5928  1 Si 1.64
O  0.6672  0.0603  0.3048  1 Si 1.64
O  0.6672  0.4397  0.3048  1 Si 1.64
O  0.8583  0.7500  0.8860  1 B 1.35
O  0.9085  0.7500  0.5466  1 Si 1.66
O  0.9856  0.7500  0.1643  1 B 1.43

Total moment: 0.004 μB/cell
ΔE_f: -2.60 eV per atom
Space-group type: No. 11

***

No. 3
# Li6SmB3O9

A geometry-optimized Li6SmB3O9 structure (GGA-PBE, the Materials Project database).

a = 7.3225 Å, b = 16.5949 Å, c = 6.7896 Å
α = 90.00°, β = 105.72°, γ = 90.00°
Last column: nearest neighbours and their distance in Å.
Fractional positions:
Li  0.0430  0.0300  0.1687  4 O 1.92-2.12
Li  0.0430  0.4700  0.6687  4 O 1.92-2.12
Li  0.0607  0.7034  0.0450  5 O 2.03-2.21
Li  0.0607  0.7966  0.5450  5 O 2.03-2.21
Li  0.1933  0.5339  0.0538  3 O 1.94-2.12
Li  0.1933  0.9661  0.5538  3 O 1.94-2.12
Li  0.2095  0.2069  0.8652  4 O 1.99-2.16
Li  0.2095  0.2931  0.3652  4 O 1.99-2.16
Li  0.3627  0.0543  0.9112  3 O 1.93-2.07
Li  0.3627  0.4457  0.4112  3 O 1.93-2.07
Li  0.4256  0.0043  0.3229  4 O 1.88-1.99
Li  0.4256  0.4957  0.8229  4 O 1.88-1.99
Li  0.5744  0.5043  0.1771  4 O 1.88-1.99
Li  0.5744  0.9957  0.6771  4 O 1.88-1.99
Li  0.6373  0.5543  0.5888  3 O 1.93-2.07
Li  0.6373  0.9457  0.0888  3 O 1.93-2.07
Li  0.7905  0.7069  0.6348  4 O 1.99-2.16
Li  0.7905  0.7931  0.1348  4 O 1.99-2.16
Li  0.8067  0.0339  0.4462  3 O 1.94-2.12
Li  0.8067  0.4661  0.9462  3 O 1.94-2.12
Li  0.9393  0.2034  0.4550  5 O 2.03-2.21
Li  0.9393  0.2966  0.9550  5 O 2.03-2.21
Li  0.9570  0.5300  0.3313  4 O 1.92-2.12
Li  0.9570  0.9700  0.8313  4 O 1.92-2.12
Sm  0.4222  0.6899  0.8474  8 O 2.36-2.57
Sm  0.4222  0.8101  0.3474  8 O 2.36-2.57
Sm  0.5778  0.1899  0.6526  8 O 2.36-2.57
Sm  0.5778  0.3101  0.1526  8 O 2.36-2.57
B  0.0591  0.6153  0.6875  3 O 1.38-1.40
B  0.0591  0.8847  0.1875  3 O 1.38-1.40
B  0.2093  0.1190  0.5007  3 O 1.37-1.40
B  0.2093  0.3810  0.0007  3 O 1.37-1.40
B  0.4183  0.6341  0.3379  3 O 1.36-1.40
B  0.4183  0.8659  0.8379  3 O 1.36-1.40
B  0.5817  0.1341  0.1621  3 O 1.36-1.40
B  0.5817  0.3659  0.6621  3 O 1.36-1.40
B  0.7907  0.6190  0.9993  3 O 1.37-1.40
B  0.7907  0.8810  0.4993  3 O 1.37-1.40
B  0.9409  0.1153  0.8125  3 O 1.38-1.40
B  0.9409  0.3847  0.3125  3 O 1.38-1.40
O  0.0345  0.0861  0.4139  1 B 1.37
O  0.0345  0.4139  0.9139  1 B 1.37
O  0.0765  0.6979  0.7254  1 B 1.40
O  0.0765  0.8021  0.2254  1 B 1.40
O  0.1058  0.0790  0.9253  1 B 1.38
O  0.1058  0.4210  0.4253  1 B 1.38
O  0.2206  0.5685  0.7702  1 B 1.40
O  0.2206  0.9315  0.2702  1 B 1.40
O  0.2326  0.2005  0.5553  1 B 1.40
O  0.2326  0.2995  0.0553  1 B 1.40
O  0.3518  0.6833  0.1667  1 B 1.40
O  0.3518  0.8167  0.6667  1 B 1.40
O  0.3747  0.0724  0.5428  1 B 1.40
O  0.3747  0.4276  0.0428  1 B 1.40
O  0.4143  0.5523  0.3247  1 B 1.36
O  0.4143  0.9477  0.8247  1 B 1.36
O  0.4984  0.6729  0.5251  1 B 1.40
O  0.4984  0.8271  0.0251  1 B 1.40
O  0.5016  0.1729  0.9749  1 B 1.40
O  0.5016  0.3271  0.4749  1 B 1.40
O  0.5857  0.0523  0.1753  1 B 1.36
O  0.5857  0.4477  0.6753  1 B 1.36
O  0.6253  0.5724  0.9572  1 B 1.40
O  0.6253  0.9276  0.4572  1 B 1.40
O  0.6482  0.1833  0.3333  1 B 1.40
O  0.6482  0.3167  0.8333  1 B 1.40
O  0.7674  0.7005  0.9447  1 B 1.40
O  0.7674  0.7995  0.4447  1 B 1.40
O  0.7794  0.0685  0.7298  1 B 1.40
O  0.7794  0.4315  0.2298  1 B 1.40
O  0.8942  0.5790  0.5747  1 B 1.38
O  0.8942  0.9210  0.0747  1 B 1.38
O  0.9235  0.1979  0.7746  1 B 1.40
O  0.9235  0.3021  0.2746  1 B 1.40
O  0.9655  0.5861  0.0861  1 B 1.37
O  0.9655  0.9139  0.5861  1 B 1.37

Total moment: 0.000 μB/cell
ΔE_f: -2.81 eV per atom
Space-group type: No. 14

***

Q: Which formula does entry 2 have?
A: Li3SiSnBO7